# 1
22
Lattice="4.961 1.822 -6.090 -7.950 1.086 -0.801 0.639 6.493 2.462" Properties=species:S:1:pos:R:3 comment="Tl3SiF7 GGA-PBE relaxed" energy_mp2020_ev_per_atom=-5.110 e_above_lowest_polymorph_ev_per_fu=0.00 total_energy_ev_per_atom=-4.816 pbc="T T T"
Si -3.485 2.852 -1.993
F 4.927 1.955 -6.019
F 2.182 5.036 -2.122
F -7.569 4.472 0.462
Si 1.114 6.342 -2.515
Tl -0.983 4.085 -5.031
Tl 0.588 2.557 -1.409
F -4.598 3.776 -1.120
F 0.939 6.754 -0.846
Tl -1.331 5.676 0.739
F -2.233 3.345 -0.909
Tl -5.446 6.247 0.290
F 0.038 7.630 -2.923
F -3.134 4.222 -2.986
F -3.838 1.465 -1.018
F 2.423 7.404 -2.634
F -0.235 5.281 -2.377
Tl 3.131 3.508 -4.585
Tl -2.902 7.204 -2.883
F -4.731 2.334 -3.078
F -2.330 1.934 -2.881
F 1.288 5.905 -4.181

=====

# 2
72
Lattice="19.121 -4.746 0.000 19.121 4.746 0.000 17.943 0.000 8.136" Properties=species:S:1:pos:R:3 comment="K2Mo15S19 GGA-PBE relaxed" energy_mp2020_ev_per_atom=-7.779 total_energy_ev_per_atom=-7.513 pbc="T T T"
S 31.166 1.927 1.573
S 36.182 -1.922 7.736
Mo 39.680 0.846 7.071
Mo 44.599 0.846 5.132
Mo 16.119 -0.713 3.737
S 36.952 -1.180 2.420
S 18.154 0.000 2.629
S 29.384 -1.180 1.648
Mo 40.067 0.713 4.399
S 30.301 1.556 7.543
Mo 26.917 1.554 4.052
S 36.475 3.101 5.715
S 28.684 -1.645 6.489
S 25.092 0.000 3.633
Mo 36.114 -4.102 6.561
S 31.094 0.000 4.502
Mo 44.212 0.713 7.805
S 34.378 1.263 7.963
S 21.016 -1.927 5.641
S 3.001 0.000 0.435
S 28.976 2.824 4.467
K 34.417 0.000 4.984
K 21.769 0.000 3.152
S 38.032 0.000 5.507
Mo 16.329 1.559 2.287
S 34.857 -3.190 4.660
S 35.170 1.927 2.495
Mo 16.506 -0.846 1.065
Mo 27.143 -0.644 2.493
S 33.168 -1.891 2.034
S 53.186 0.000 7.701
Mo 14.047 -1.563 2.034
S 32.344 -1.428 7.722
S 23.842 1.428 0.413
Mo 26.757 -0.909 5.157
S 27.210 -2.824 3.669
S 21.808 -1.263 0.173
Mo 42.140 1.563 6.102
S 27.503 1.645 1.647
Mo 29.429 0.909 2.979
Mo 41.946 -0.781 7.441
Mo 35.889 3.192 8.120
Mo 36.907 0.909 1.089
Mo 42.334 -0.781 4.762
Mo 11.974 -0.713 0.331
Mo 20.072 4.102 1.574
Mo 20.298 -3.192 0.016
Mo 11.764 1.559 1.781
S 46.247 0.000 6.696
Mo 44.422 -1.559 6.355
Mo 19.280 -0.909 7.047
S 19.235 1.180 5.716
Mo 13.853 0.781 3.374
Mo 14.241 0.781 0.694
S 25.021 -1.927 6.563
S 32.814 3.318 4.481
S 26.802 1.180 6.488
Mo 39.857 -1.559 5.848
S 25.407 3.483 3.895
Mo 29.044 0.644 5.642
K 6.324 0.000 0.916
S 30.780 -3.483 4.241
S 20.005 1.922 0.399
K 49.862 0.000 7.220
Mo 11.587 -0.846 3.003
S 25.885 -1.556 0.592
S 21.330 3.190 3.476
Mo 29.269 -1.554 4.084
S 19.712 -3.101 2.421
S 23.373 -3.318 3.654
S 9.939 0.000 1.439
S 23.018 1.891 6.102

=====

# 3
3
Lattice="1.566 1.660 -2.877 2.875 -1.554 -1.675 -0.381 -1.415 -3.367" Properties=species:S:1:pos:R:3 comment="TiF2 GGA-PBE relaxed" energy_mp2020_ev_per_atom=-6.921 total_energy_ev_per_atom=-6.613 pbc="T T T"
Ti 0.000 0.000 0.000
F 1.015 -0.327 -1.980
F 3.046 -0.981 -5.939

=====

# 4
24
Lattice="3.256 2.665 -2.913 -4.928 1.360 0.231 2.717 8.079 10.430" Properties=species:S:1:pos:R:3 comment="Nd4Fe4Co12B3C GGA-PBE relaxed" total_energy_ev_per_atom=-7.186 pbc="T T T"
Co -3.310 2.390 0.769
Co 0.510 10.189 7.612
Co -0.029 4.085 3.705
Fe 0.679 2.020 2.608
Fe -0.157 7.869 7.025
Fe 2.037 6.058 7.822
Nd 1.886 6.269 3.350
Co -0.809 1.700 0.652
Co -0.865 6.095 2.365
Fe -1.526 3.799 1.771
B -2.200 1.795 -0.817
Nd 2.568 8.295 5.965
B -0.842 5.834 4.398
Co -1.143 8.836 9.091
B 1.358 4.039 5.215
Co 0.544 5.790 5.907
Co -1.658 3.743 -0.710
Co 1.359 8.146 8.974
Co -1.918 6.470 6.022
Co -0.291 7.801 4.567
Co -2.491 4.764 3.820
Nd 1.205 4.244 0.735
C 0.000 0.000 0.000
Nd 0.528 2.230 -1.865

=====

# 5
4
Lattice="2.356 -4.081 0.000 2.356 4.081 0.000 0.000 0.000 7.592" Properties=species:S:1:pos:R:3 comment="MgCd GGA-PBE relaxed" total_energy_ev_per_atom=-0.800 pbc="T T T"
Mg 2.356 1.360 2.854
Cd 2.356 -1.360 3.789
Cd 2.356 1.360 7.585
Mg 2.356 -1.360 6.650

=====

# 6
4
Lattice="0.000 3.675 3.675 3.675 0.000 3.675 3.675 3.675 0.000" Properties=species:S:1:pos:R:3 comment="Li2AcPb GGA-PBE relaxed" total_energy_ev_per_atom=-3.219 pbc="T T T"
Pb 0.000 0.000 0.000
Li 5.513 5.513 5.513
Li 1.838 1.838 1.838
Ac 3.675 3.675 3.675

=====

| no. | ΔH_f (0 K) (eV per atom) | theoretical density (g/cm³) |
| --- | --- | --- |
| 1 | -2.754 | 6.55 |
| 2 | -1.015 | 4.78 |
| 3 | -3.013 | 4.07 |
| 4 | -0.206 | 8.44 |
| 5 | 0.462 | 3.11 |
| 6 | -0.306 | 7.49 |